The following is a DFT calculation (PBE) of crystalline LiBi3O5 at its relaxed geometry.

Calculated values
Energy, eV per atom: -5.526

Cell: 6.442 8.026 10.162 Å, 90.00 90.00 90.00°
Sites, in units of the cell vectors:
Li  0.802  0.750  0.109
Li  0.302  0.250  0.391
Li  0.198  0.250  0.891
Li  0.698  0.750  0.609
Bi  0.055  0.050  0.177
Bi  0.445  0.450  0.677
Bi  0.445  0.050  0.677
Bi  0.609  0.250  0.029
Bi  0.555  0.950  0.323
Bi  0.945  0.550  0.823
Bi  0.055  0.450  0.177
Bi  0.109  0.750  0.471
Bi  0.555  0.550  0.323
Bi  0.891  0.250  0.529
Bi  0.945  0.950  0.823
Bi  0.391  0.750  0.971
O  0.685  0.750  0.809
O  0.966  0.250  0.013
O  0.466  0.750  0.487
O  0.187  0.487  0.389
O  0.185  0.250  0.691
O  0.815  0.750  0.309
O  0.813  0.987  0.611
O  0.687  0.987  0.111
O  0.623  0.250  0.780
O  0.123  0.750  0.720
O  0.534  0.250  0.513
O  0.877  0.250  0.280
O  0.315  0.250  0.191
O  0.687  0.513  0.111
O  0.813  0.513  0.611
O  0.187  0.013  0.389
O  0.034  0.750  0.987
O  0.313  0.487  0.889
O  0.377  0.750  0.220
O  0.313  0.013  0.889